(1)
SiO2: optimized geometry, meta-GGA r2SCAN.

Cell and atoms, written as CIF:
```
data_SiO2
_cell_length_a 11.9940
_cell_length_b 10.2855
_cell_length_c 10.0661
_cell_angle_alpha 90.00
_cell_angle_beta 90.00
_cell_angle_gamma 90.00
_symmetry_space_group_name_H-M 'P 1'
_symmetry_Int_Tables_number 1
loop_
_symmetry_equiv_pos_as_xyz
'x,y,z'
loop_
_atom_site_label
_atom_site_type_symbol
_atom_site_fract_x
_atom_site_fract_y
_atom_site_fract_z
Si1 Si 0.2850 0.1061 0.1510
Si2 Si 0.2850 0.8939 0.3490
Si3 Si 0.7150 0.1061 0.3490
Si4 Si 0.7150 0.8939 0.1510
Si5 Si 0.7150 0.8939 0.8490
Si6 Si 0.7150 0.1061 0.6510
Si7 Si 0.2850 0.8939 0.6510
Si8 Si 0.2850 0.1061 0.8490
Si9 Si 0.7850 0.6061 0.1510
Si10 Si 0.7850 0.3939 0.3490
Si11 Si 0.2150 0.6061 0.3490
Si12 Si 0.2150 0.3939 0.1510
Si13 Si 0.2150 0.3939 0.8490
Si14 Si 0.2150 0.6061 0.6510
Si15 Si 0.7850 0.3939 0.6510
Si16 Si 0.7850 0.6061 0.8490
Si17 Si 0.0000 0.5000 0.2500
Si18 Si 0.0000 0.5000 0.7500
Si19 Si 0.5000 0.0000 0.2500
Si20 Si 0.5000 0.0000 0.7500
O1 O 0.4196 0.0900 0.1593
O2 O 0.4196 0.9100 0.3407
O3 O 0.5804 0.0900 0.3407
O4 O 0.5804 0.9100 0.1593
O5 O 0.5804 0.9100 0.8407
O6 O 0.5804 0.0900 0.6593
O7 O 0.4196 0.9100 0.6593
O8 O 0.4196 0.0900 0.8407
O9 O 0.9196 0.5900 0.1593
O10 O 0.9196 0.4100 0.3407
O11 O 0.0804 0.5900 0.3407
O12 O 0.0804 0.4100 0.1593
O13 O 0.0804 0.4100 0.8407
O14 O 0.0804 0.5900 0.6593
O15 O 0.9196 0.4100 0.6593
O16 O 0.9196 0.5900 0.8407
O17 O 0.2444 0.0822 0.0000
O18 O 0.2444 0.9178 0.5000
O19 O 0.7556 0.0822 0.5000
O20 O 0.7556 0.9178 0.0000
O21 O 0.7444 0.5822 0.0000
O22 O 0.7444 0.4178 0.5000
O23 O 0.2556 0.5822 0.5000
O24 O 0.2556 0.4178 0.0000
O25 O 0.2294 0.0000 0.2500
O26 O 0.7706 0.0000 0.2500
O27 O 0.7706 0.0000 0.7500
O28 O 0.2294 0.0000 0.7500
O29 O 0.7294 0.5000 0.2500
O30 O 0.2706 0.5000 0.2500
O31 O 0.2706 0.5000 0.7500
O32 O 0.7294 0.5000 0.7500
O33 O 0.2500 0.2500 0.1979
O34 O 0.2500 0.7500 0.3021
O35 O 0.7500 0.2500 0.3021
O36 O 0.7500 0.7500 0.1979
O37 O 0.7500 0.7500 0.8021
O38 O 0.7500 0.2500 0.6979
O39 O 0.2500 0.7500 0.6979
O40 O 0.2500 0.2500 0.8021
```



(2)
Re3Ge7: optimized geometry, meta-GGA r2SCAN.

Cell and atoms, written as CIF:
```
data_Re3Ge7
_cell_length_a 3.2518
_cell_length_b 4.7966
_cell_length_c 22.0229
_cell_angle_alpha 90.00
_cell_angle_beta 90.00
_cell_angle_gamma 109.81
_symmetry_space_group_name_H-M 'P 1'
_symmetry_Int_Tables_number 1
loop_
_symmetry_equiv_pos_as_xyz
'x,y,z'
loop_
_atom_site_label
_atom_site_type_symbol
_atom_site_fract_x
_atom_site_fract_y
_atom_site_fract_z
Re1 Re 0.5185 0.0370 0.2500
Re2 Re 0.4815 0.9630 0.7500
Re3 Re 0.0741 0.1483 0.0596
Re4 Re 0.9259 0.8517 0.9404
Re5 Re 0.9259 0.8517 0.5596
Re6 Re 0.0741 0.1483 0.4404
Ge1 Ge 0.2355 0.4710 0.2500
Ge2 Ge 0.7645 0.5290 0.7500
Ge3 Ge 0.3549 0.7097 0.0312
Ge4 Ge 0.6451 0.2903 0.9688
Ge5 Ge 0.6451 0.2903 0.5312
Ge6 Ge 0.3549 0.7097 0.4688
Ge7 Ge 0.0591 0.1182 0.8378
Ge8 Ge 0.9409 0.8818 0.1622
Ge9 Ge 0.9409 0.8818 0.3378
Ge10 Ge 0.0591 0.1182 0.6622
Ge11 Ge 0.3242 0.6484 0.8636
Ge12 Ge 0.6758 0.3516 0.1364
Ge13 Ge 0.6758 0.3516 0.3636
Ge14 Ge 0.3242 0.6484 0.6364
```



(3)
Cs2GaSb2: optimized geometry, meta-GGA r2SCAN.

Cell and atoms, written as CIF:
```
data_Cs2GaSb2
_cell_length_a 8.4329
_cell_length_b 11.3010
_cell_length_c 18.2740
_cell_angle_alpha 90.00
_cell_angle_beta 90.00
_cell_angle_gamma 90.00
_symmetry_space_group_name_H-M 'P 1'
_symmetry_Int_Tables_number 1
loop_
_symmetry_equiv_pos_as_xyz
'x,y,z'
loop_
_atom_site_label
_atom_site_type_symbol
_atom_site_fract_x
_atom_site_fract_y
_atom_site_fract_z
Cs1 Cs 0.8699 0.4466 0.3640
Cs2 Cs 0.3699 0.5534 0.1360
Cs3 Cs 0.1301 0.9466 0.6360
Cs4 Cs 0.6301 0.0534 0.8640
Cs5 Cs 0.1301 0.5534 0.6360
Cs6 Cs 0.6301 0.4466 0.8640
Cs7 Cs 0.8699 0.0534 0.3640
Cs8 Cs 0.3699 0.9466 0.1360
Cs9 Cs 0.3772 0.4661 0.3709
Cs10 Cs 0.8772 0.5339 0.1291
Cs11 Cs 0.6228 0.9661 0.6291
Cs12 Cs 0.1228 0.0339 0.8709
Cs13 Cs 0.6228 0.5339 0.6291
Cs14 Cs 0.1228 0.4661 0.8709
Cs15 Cs 0.3772 0.0339 0.3709
Cs16 Cs 0.8772 0.9661 0.1291
Ga1 Ga 0.1084 0.7500 0.4211
Ga2 Ga 0.6084 0.2500 0.0789
Ga3 Ga 0.3916 0.7500 0.9211
Ga4 Ga 0.8596 0.7500 0.9207
Ga5 Ga 0.3596 0.2500 0.5793
Ga6 Ga 0.1404 0.2500 0.0793
Ga7 Ga 0.6404 0.7500 0.4207
Ga8 Ga 0.8916 0.2500 0.5789
Sb1 Sb 0.7014 0.7500 0.2818
Sb2 Sb 0.3736 0.2500 0.9890
Sb3 Sb 0.1264 0.2500 0.4890
Sb4 Sb 0.8736 0.7500 0.5110
Sb5 Sb 0.4540 0.7500 0.7821
Sb6 Sb 0.9540 0.2500 0.7179
Sb7 Sb 0.5460 0.2500 0.2179
Sb8 Sb 0.0460 0.7500 0.2821
Sb9 Sb 0.2014 0.2500 0.2182
Sb10 Sb 0.2986 0.2500 0.7182
Sb11 Sb 0.7986 0.7500 0.7818
Sb12 Sb 0.3749 0.7500 0.4940
Sb13 Sb 0.1251 0.7500 0.9940
Sb14 Sb 0.6251 0.2500 0.5060
Sb15 Sb 0.6264 0.7500 0.0110
Sb16 Sb 0.8749 0.2500 0.0060
```



(4)
Er3Rh: optimized geometry, meta-GGA r2SCAN.

Cell and atoms, written as CIF:
```
data_Er3Rh
_cell_length_a 6.2297
_cell_length_b 7.0610
_cell_length_c 9.3450
_cell_angle_alpha 90.00
_cell_angle_beta 90.00
_cell_angle_gamma 90.00
_symmetry_space_group_name_H-M 'P 1'
_symmetry_Int_Tables_number 1
loop_
_symmetry_equiv_pos_as_xyz
'x,y,z'
loop_
_atom_site_label
_atom_site_type_symbol
_atom_site_fract_x
_atom_site_fract_y
_atom_site_fract_z
Er1 Er 0.6744 0.1746 0.0636
Er2 Er 0.1744 0.3254 0.9364
Er3 Er 0.8256 0.6746 0.4364
Er4 Er 0.3256 0.8254 0.5636
Er5 Er 0.3256 0.8254 0.9364
Er6 Er 0.8256 0.6746 0.0636
Er7 Er 0.1744 0.3254 0.5636
Er8 Er 0.6744 0.1746 0.4364
Er9 Er 0.8637 0.9636 0.7500
Er10 Er 0.3637 0.5364 0.2500
Er11 Er 0.6363 0.4636 0.7500
Er12 Er 0.1363 0.0364 0.2500
Rh1 Rh 0.0535 0.6178 0.7500
Rh2 Rh 0.5535 0.8822 0.2500
Rh3 Rh 0.4465 0.1178 0.7500
Rh4 Rh 0.9465 0.3822 0.2500
```



(5)
Sr3MnN3: optimized geometry, meta-GGA r2SCAN.

Cell and atoms, written as CIF:
```
data_Sr3MnN3
_cell_length_a 7.6707
_cell_length_b 7.6707
_cell_length_c 5.2610
_cell_angle_alpha 90.00
_cell_angle_beta 90.00
_cell_angle_gamma 120.00
_symmetry_space_group_name_H-M 'P 1'
_symmetry_Int_Tables_number 1
loop_
_symmetry_equiv_pos_as_xyz
'x,y,z'
loop_
_atom_site_label
_atom_site_type_symbol
_atom_site_fract_x
_atom_site_fract_y
_atom_site_fract_z
Sr1 Sr 0.6371 0.7238 0.7500
Sr2 Sr 0.9133 0.6371 0.2500
Sr3 Sr 0.7238 0.0867 0.2500
Sr4 Sr 0.2762 0.9133 0.7500
Sr5 Sr 0.0867 0.3629 0.7500
Sr6 Sr 0.3629 0.2762 0.2500
Mn1 Mn 0.3333 0.6667 0.2500
Mn2 Mn 0.6667 0.3333 0.7500
N1 N 0.8802 0.5718 0.7500
N2 N 0.3084 0.8802 0.2500
N3 N 0.5717 0.6916 0.2500
N4 N 0.4282 0.3084 0.7500
N5 N 0.6916 0.1198 0.7500
N6 N 0.1198 0.4283 0.2500
```



(6)
TbMgRh2: optimized geometry, meta-GGA r2SCAN.

Cell and atoms, written as CIF:
```
data_TbMgRh2
_cell_length_a 4.6207
_cell_length_b 4.6207
_cell_length_c 4.6207
_cell_angle_alpha 60.00
_cell_angle_beta 60.00
_cell_angle_gamma 60.00
_symmetry_space_group_name_H-M 'P 1'
_symmetry_Int_Tables_number 1
loop_
_symmetry_equiv_pos_as_xyz
'x,y,z'
loop_
_atom_site_label
_atom_site_type_symbol
_atom_site_fract_x
_atom_site_fract_y
_atom_site_fract_z
Tb1 Tb 0.7500 0.7500 0.7500
Mg1 Mg 0.2500 0.2500 0.2500
Rh1 Rh 0.0000 0.0000 0.0000
Rh2 Rh 0.5000 0.5000 0.5000
```



(7)
Sr5Sb3: optimized geometry, meta-GGA r2SCAN.

Cell and atoms, written as CIF:
```
data_Sr5Sb3
_cell_length_a 9.5721
_cell_length_b 9.5721
_cell_length_c 7.4542
_cell_angle_alpha 90.00
_cell_angle_beta 90.00
_cell_angle_gamma 120.00
_symmetry_space_group_name_H-M 'P 1'
_symmetry_Int_Tables_number 1
loop_
_symmetry_equiv_pos_as_xyz
'x,y,z'
loop_
_atom_site_label
_atom_site_type_symbol
_atom_site_fract_x
_atom_site_fract_y
_atom_site_fract_z
Sr1 Sr 0.3333 0.6667 0.0000
Sr2 Sr 0.6667 0.3333 0.5000
Sr3 Sr 0.6667 0.3333 0.0000
Sr4 Sr 0.3333 0.6667 0.5000
Sr5 Sr 0.2532 0.0000 0.2500
Sr6 Sr 0.2532 0.2532 0.7500
Sr7 Sr 0.0000 0.7468 0.7500
Sr8 Sr 0.0000 0.2532 0.2500
Sr9 Sr 0.7468 0.7468 0.2500
Sr10 Sr 0.7468 0.0000 0.7500
Sb1 Sb 0.6103 0.0000 0.2500
Sb2 Sb 0.6103 0.6103 0.7500
Sb3 Sb 0.0000 0.3897 0.7500
Sb4 Sb 0.0000 0.6103 0.2500
Sb5 Sb 0.3897 0.3897 0.2500
Sb6 Sb 0.3897 0.0000 0.7500
```



(8)
FeTe6O13: optimized geometry, meta-GGA r2SCAN.

Cell and atoms, written as CIF:
```
data_FeTe6O13
_cell_length_a 8.6591
_cell_length_b 8.6591
_cell_length_c 8.6591
_cell_angle_alpha 72.12
_cell_angle_beta 72.12
_cell_angle_gamma 72.12
_symmetry_space_group_name_H-M 'P 1'
_symmetry_Int_Tables_number 1
loop_
_symmetry_equiv_pos_as_xyz
'x,y,z'
loop_
_atom_site_label
_atom_site_type_symbol
_atom_site_fract_x
_atom_site_fract_y
_atom_site_fract_z
Fe1 Fe 0.7428 0.7428 0.7428
Fe2 Fe 0.2572 0.2572 0.2572
Te1 Te 0.6670 0.0600 0.9862
Te2 Te 0.4714 0.1754 0.5799
Te3 Te 0.1754 0.5799 0.4714
Te4 Te 0.9400 0.0138 0.3330
Te5 Te 0.4201 0.5286 0.8246
Te6 Te 0.5286 0.8246 0.4201
Te7 Te 0.8246 0.4201 0.5286
Te8 Te 0.0600 0.9862 0.6670
Te9 Te 0.3330 0.9400 0.0138
Te10 Te 0.0138 0.3330 0.9400
Te11 Te 0.9862 0.6670 0.0600
Te12 Te 0.5799 0.4714 0.1754
O1 O 0.3887 0.6996 0.6259
O2 O 0.9125 0.9125 0.9125
O3 O 0.8970 0.9212 0.6023
O4 O 0.3741 0.6113 0.3004
O5 O 0.6354 0.8844 0.5434
O6 O 0.1999 0.6962 0.9469
O7 O 0.3977 0.1030 0.0788
O8 O 0.0875 0.0875 0.0875
O9 O 0.3038 0.0531 0.8001
O10 O 0.4566 0.3646 0.1156
O11 O 0.6113 0.3004 0.3741
O12 O 0.3646 0.1156 0.4566
O13 O 0.8844 0.5434 0.6354
O14 O 0.9469 0.1999 0.6962
O15 O 0.6023 0.8970 0.9212
O16 O 0.9212 0.6023 0.8970
O17 O 0.1030 0.0788 0.3977
O18 O 0.6962 0.9469 0.1999
O19 O 0.6996 0.6259 0.3887
O20 O 0.0531 0.8001 0.3038
O21 O 0.0788 0.3977 0.1030
O22 O 0.5434 0.6354 0.8844
O23 O 0.6259 0.3887 0.6996
O24 O 0.3004 0.3741 0.6113
O25 O 0.8001 0.3038 0.0531
O26 O 0.1156 0.4566 0.3646
```



(9)
MgZnCo: optimized geometry, meta-GGA r2SCAN.

Cell and atoms, written as CIF:
```
data_MgZnCo
_cell_length_a 4.9654
_cell_length_b 4.9644
_cell_length_c 4.9654
_cell_angle_alpha 121.26
_cell_angle_beta 119.39
_cell_angle_gamma 89.46
_symmetry_space_group_name_H-M 'P 1'
_symmetry_Int_Tables_number 1
loop_
_symmetry_equiv_pos_as_xyz
'x,y,z'
loop_
_atom_site_label
_atom_site_type_symbol
_atom_site_fract_x
_atom_site_fract_y
_atom_site_fract_z
Mg1 Mg 0.3672 0.1172 0.2500
Mg2 Mg 0.6328 0.8828 0.7500
Zn1 Zn 0.5000 0.5000 0.0000
Zn2 Zn 0.0000 0.5000 0.5000
Co1 Co 0.0000 0.5000 0.0000
Co2 Co 0.0000 0.0000 0.5000
```



(10)
Ta3FeS6: optimized geometry, meta-GGA r2SCAN.

Cell and atoms, written as CIF:
```
data_Ta3FeS6
_cell_length_a 5.7444
_cell_length_b 5.7444
_cell_length_c 11.8511
_cell_angle_alpha 90.00
_cell_angle_beta 90.00
_cell_angle_gamma 120.00
_symmetry_space_group_name_H-M 'P 1'
_symmetry_Int_Tables_number 1
loop_
_symmetry_equiv_pos_as_xyz
'x,y,z'
loop_
_atom_site_label
_atom_site_type_symbol
_atom_site_fract_x
_atom_site_fract_y
_atom_site_fract_z
Ta1 Ta 0.0000 0.0000 0.5000
Ta2 Ta 0.0000 0.0000 0.0000
Ta3 Ta 0.3333 0.6667 0.5047
Ta4 Ta 0.6667 0.3333 0.4953
Ta5 Ta 0.6667 0.3333 0.0047
Ta6 Ta 0.3333 0.6667 0.9953
Fe1 Fe 0.3333 0.6667 0.2500
Fe2 Fe 0.6667 0.3333 0.7500
S1 S 0.3314 0.3365 0.1322
S2 S 0.6635 0.9949 0.1322
S3 S 0.0051 0.6686 0.1322
S4 S 0.3365 0.3314 0.8678
S5 S 0.9949 0.6635 0.8678
S6 S 0.6686 0.0051 0.8678
S7 S 0.6686 0.6635 0.6322
S8 S 0.3365 0.0051 0.6322
S9 S 0.9949 0.3314 0.6322
S10 S 0.6635 0.6686 0.3678
S11 S 0.0051 0.3365 0.3678
S12 S 0.3314 0.9949 0.3678
```



(11)
Lu3Tl: optimized geometry, meta-GGA r2SCAN.

Cell and atoms, written as CIF:
```
data_Lu3Tl
_cell_length_a 6.6679
_cell_length_b 6.6679
_cell_length_c 5.5126
_cell_angle_alpha 90.00
_cell_angle_beta 90.00
_cell_angle_gamma 120.00
_symmetry_space_group_name_H-M 'P 1'
_symmetry_Int_Tables_number 1
loop_
_symmetry_equiv_pos_as_xyz
'x,y,z'
loop_
_atom_site_label
_atom_site_type_symbol
_atom_site_fract_x
_atom_site_fract_y
_atom_site_fract_z
Lu1 Lu 0.1683 0.3366 0.2500
Lu2 Lu 0.6634 0.8317 0.2500
Lu3 Lu 0.1683 0.8317 0.2500
Lu4 Lu 0.8317 0.6634 0.7500
Lu5 Lu 0.3366 0.1683 0.7500
Lu6 Lu 0.8317 0.1683 0.7500
Tl1 Tl 0.3333 0.6667 0.7500
Tl2 Tl 0.6667 0.3333 0.2500
```



(12)
RbSmO2: optimized geometry, meta-GGA r2SCAN.

Cell and atoms, written as CIF:
```
data_RbSmO2
_cell_length_a 6.8614
_cell_length_b 6.8614
_cell_length_c 6.8614
_cell_angle_alpha 30.27
_cell_angle_beta 30.27
_cell_angle_gamma 30.27
_symmetry_space_group_name_H-M 'P 1'
_symmetry_Int_Tables_number 1
loop_
_symmetry_equiv_pos_as_xyz
'x,y,z'
loop_
_atom_site_label
_atom_site_type_symbol
_atom_site_fract_x
_atom_site_fract_y
_atom_site_fract_z
Rb1 Rb 0.0000 0.0000 0.0000
Sm1 Sm 0.5000 0.5000 0.5000
O1 O 0.7733 0.7733 0.7733
O2 O 0.2267 0.2267 0.2267
```



Number 1: total moment 0.0000 μB/atom, formation energy from the elements -8.96 eV per formula unit. Number 2: total moment 0.0000 μB/atom, formation energy from the elements 0.13 eV per formula unit. Number 3: total moment 0.0000 μB/atom, formation energy from the elements -2.85 eV per formula unit. Number 4: total moment 0.1120 μB/atom, formation energy from the elements -2.33 eV per formula unit. Number 5: total moment 0.1685 μB/atom, formation energy from the elements -6.25 eV per formula unit. Number 6: total moment 0.0000 μB/atom, formation energy from the elements -2.90 eV per formula unit. Number 7: total moment 0.1205 μB/atom, formation energy from the elements -9.45 eV per formula unit. Number 8: total moment 0.2000 μB/atom, formation energy from the elements -22.74 eV per formula unit. Number 9: total moment 0.3727 μB/atom, formation energy from the elements -0.26 eV per formula unit. Number 10: total moment 0.1262 μB/atom, formation energy from the elements -10.97 eV per formula unit. Number 11: total moment 0.3600 μB/atom, formation energy from the elements -0.85 eV per formula unit. Number 12: total moment 0.0000 μB/atom, formation energy from the elements -11.51 eV per formula unit.